A relaxed V3P4O14 crystal, computed with PBE with a Hubbard U.

## Properties
* spin magnetization: 7.000 μB per formula unit

Cell lengths 5.2721, 6.6017, 15.7014 Å; angles 81.65, 82.46, 73.15 degrees
Last column: nearest neighbours and their distance in Å.
Fractional coordinates of all 42 atoms:
O (0.9733, 0.6888, 0.1765)  1 P 1.49
O (0.3505, 0.1365, 0.7018)  1 P 1.60
O (0.5405, 0.6840, 0.5858)  2 P 1.59-1.63
O (0.3329, 0.8444, 0.0154)  1 P 1.46
O (0.9021, 0.0286, 0.4111)  1 P 1.55
O (0.2683, 0.3344, 0.0900)  1 P 1.54
O (0.0172, 0.0293, 0.2262)  1 P 1.59
O (0.4002, 0.8636, 0.4505)  1 P 1.55
O (0.8743, 0.3788, 0.4651)  1 P 1.53
O (0.1257, 0.6212, 0.5349)  1 P 1.53
O (0.6495, 0.8635, 0.2982)  1 P 1.60
O (0.2882, 0.6089, 0.9046)  1 P 1.56
O (0.6507, 0.4402, 0.2684)  1 P 1.49
O (0.7919, 0.3459, 0.6620)  1 P 1.55
O (0.7118, 0.3911, 0.0954)  1 P 1.56
O (0.2318, 0.2962, 0.2886)  1 P 1.54
O (0.3493, 0.5598, 0.7316)  1 P 1.49
O (0.5998, 0.1364, 0.5495)  1 P 1.55
O (0.6128, 0.0402, 0.1514)  2 P 1.54-1.71
O (0.0267, 0.3112, 0.8235)  1 P 1.49
O (0.3872, 0.9598, 0.8486)  2 P 1.54-1.71
O (0.9828, 0.9707, 0.7738)  1 P 1.59
O (0.0979, 0.9714, 0.5889)  1 P 1.55
O (0.7682, 0.7038, 0.7114)  1 P 1.54
O (0.4595, 0.3160, 0.4142)  2 P 1.59-1.63
O (0.6671, 0.1556, 0.9846)  1 P 1.46
O (0.2081, 0.6541, 0.3380)  1 P 1.55
O (0.7317, 0.6656, 0.9100)  1 P 1.54
P (0.1742, 0.1031, 0.7913)  4 O 1.49-1.60
P (0.7255, 0.2143, 0.4608)  4 O 1.53-1.59
P (0.3914, 0.4324, 0.3176)  4 O 1.49-1.63
P (0.5680, 0.2390, 0.0676)  3 O 1.46-1.56
P (0.4320, 0.7610, 0.9324)  3 O 1.46-1.56
P (0.6086, 0.5676, 0.6824)  4 O 1.49-1.63
P (0.2745, 0.7857, 0.5392)  4 O 1.53-1.59
P (0.8258, 0.8969, 0.2087)  4 O 1.49-1.60
V (0.1637, 0.2846, 0.5817)  5 O 2.15-2.24
V (0.8363, 0.7154, 0.4183)  5 O 2.15-2.24
V (0.0373, 0.6170, 0.8286)  4 O 1.88-2.08
V (0.7474, 0.0351, 0.6765)  6 O 2.01-2.18
V (0.2526, 0.9649, 0.3235)  6 O 2.01-2.18
V (0.9627, 0.3830, 0.1714)  4 O 1.88-2.08

---

A relaxed V2P2O9 crystal, computed with PBE with a Hubbard U.

## Properties
* spin magnetization: 2.000 μB per formula unit

Cell lengths 7.6317, 9.7453, 16.9800 Å; angles 90.00, 90.00, 90.00 degrees
Last column: nearest neighbours and their distance in Å.
Fractional coordinates of all 104 atoms:
P (0.2076, 0.7072, 0.7747)  4 O 1.51-1.59
P (0.7995, 0.7017, 0.7741)  4 O 1.51-1.59
P (0.7043, 0.7901, 0.0189)  4 O 1.51-1.59
P (0.7076, 0.2928, 0.7747)  4 O 1.51-1.59
P (0.2995, 0.2983, 0.7741)  4 O 1.51-1.59
P (0.2924, 0.7072, 0.2747)  4 O 1.51-1.59
P (0.2957, 0.2099, 0.5189)  4 O 1.51-1.59
P (0.1952, 0.7937, 0.5197)  4 O 1.51-1.59
P (0.3048, 0.7937, 0.0197)  4 O 1.51-1.59
P (0.7924, 0.2928, 0.2747)  4 O 1.51-1.59
P (0.2043, 0.2099, 0.0189)  4 O 1.51-1.59
P (0.8048, 0.2063, 0.0197)  4 O 1.51-1.59
P (0.7005, 0.7017, 0.2741)  4 O 1.51-1.59
P (0.2005, 0.2983, 0.2741)  4 O 1.51-1.59
P (0.6952, 0.2063, 0.5197)  4 O 1.51-1.59
P (0.7957, 0.7901, 0.5189)  4 O 1.51-1.59
O (0.5043, 0.7898, 0.9925)  2 P 1.59
O (0.9998, 0.9718, 0.3646)  1 V 1.67
O (0.7184, 0.3484, 0.3507)  1 P 1.51
O (0.5037, 0.4877, 0.9324)  1 V 1.67
O (0.9965, 0.0288, 0.6828)  1 V 1.66
O (0.4963, 0.5123, 0.4324)  1 V 1.67
O (0.0002, 0.0282, 0.8646)  1 V 1.67
O (0.5002, 0.9718, 0.8646)  1 V 1.67
O (0.7732, 0.6405, 0.1989)  1 P 1.51
O (0.8027, 0.8562, 0.9517)  1 P 1.51
O (0.7267, 0.6395, 0.8489)  1 P 1.51
O (0.7519, 0.3610, 0.5234)  1 P 1.57
O (0.4965, 0.9712, 0.6828)  1 V 1.66
O (0.2816, 0.6516, 0.8507)  1 P 1.51
O (0.2553, 0.3654, 0.0248)  1 P 1.57
O (0.2891, 0.8684, 0.4536)  1 P 1.52
O (0.4957, 0.2102, 0.4925)  2 P 1.59
O (0.9963, 0.4877, 0.4324)  1 V 1.67
O (0.7820, 0.8581, 0.5984)  1 P 1.51
O (0.2725, 0.1388, 0.7741)  1 P 1.57
O (0.2891, 0.8571, 0.1003)  1 P 1.51
O (0.7268, 0.6405, 0.6989)  1 P 1.51
O (0.7553, 0.6346, 0.0248)  1 P 1.57
O (0.0021, 0.5154, 0.6155)  1 V 1.67
O (0.2751, 0.8676, 0.2740)  1 P 1.57
O (0.7733, 0.6395, 0.3489)  1 P 1.51
O (0.2820, 0.1419, 0.5984)  1 P 1.51
O (0.2268, 0.3595, 0.6989)  1 P 1.51
O (0.2109, 0.8684, 0.9536)  1 P 1.52
O (0.2828, 0.6466, 0.7003)  1 P 1.51
O (0.7751, 0.1324, 0.2740)  1 P 1.57
O (0.2481, 0.6390, 0.0234)  1 P 1.57
O (0.1973, 0.1438, 0.4517)  1 P 1.51
O (0.7481, 0.3610, 0.0234)  1 P 1.57
O (0.7447, 0.6346, 0.5248)  1 P 1.57
O (0.7275, 0.8612, 0.2741)  1 P 1.57
O (0.2519, 0.6390, 0.5234)  1 P 1.57
O (0.9957, 0.7898, 0.4925)  2 P 1.59
O (0.7109, 0.1429, 0.6003)  1 P 1.51
O (0.6973, 0.8562, 0.4517)  1 P 1.51
O (0.9960, 0.3273, 0.2743)  2 P 1.59
O (0.2184, 0.6516, 0.3507)  1 P 1.51
O (0.7725, 0.8612, 0.7741)  1 P 1.57
O (0.4998, 0.0282, 0.3646)  1 V 1.67
O (0.2180, 0.1419, 0.0984)  1 P 1.51
O (0.2249, 0.8676, 0.7740)  1 P 1.57
O (0.5040, 0.3273, 0.7743)  2 P 1.59
O (0.7109, 0.1316, 0.9536)  1 P 1.52
O (0.0037, 0.5123, 0.9324)  1 V 1.67
O (0.7172, 0.3534, 0.2003)  1 P 1.51
O (0.5035, 0.0288, 0.1828)  1 V 1.66
O (0.0035, 0.9712, 0.1828)  1 V 1.66
O (0.2172, 0.6466, 0.2003)  1 P 1.51
O (0.2267, 0.3605, 0.8489)  1 P 1.51
O (0.2447, 0.3654, 0.5248)  1 P 1.57
O (0.4960, 0.6727, 0.2743)  2 P 1.59
O (0.7816, 0.3484, 0.8507)  1 P 1.51
O (0.9979, 0.4846, 0.1155)  1 V 1.67
O (0.2275, 0.1388, 0.2741)  1 P 1.57
O (0.7891, 0.1316, 0.4536)  1 P 1.52
O (0.3027, 0.1438, 0.9517)  1 P 1.51
O (0.2733, 0.3605, 0.3489)  1 P 1.51
O (0.2109, 0.8571, 0.6003)  1 P 1.51
O (0.7180, 0.8581, 0.0984)  1 P 1.51
O (0.7249, 0.1324, 0.7740)  1 P 1.57
O (0.0040, 0.6727, 0.7743)  2 P 1.59
O (0.2732, 0.3595, 0.1989)  1 P 1.51
O (0.4979, 0.5154, 0.1155)  1 V 1.67
O (0.5021, 0.4846, 0.6155)  1 V 1.67
O (0.7828, 0.3534, 0.7003)  1 P 1.51
O (0.0043, 0.2102, 0.9925)  2 P 1.59
O (0.7891, 0.1429, 0.1003)  1 P 1.51
V (0.2876, 0.0063, 0.1782)  1 O 1.66
V (0.7876, 0.9937, 0.1782)  1 O 1.66
V (0.7847, 0.0010, 0.8703)  1 O 1.67
V (0.2159, 0.5010, 0.1199)  1 O 1.67
V (0.2856, 0.5008, 0.9286)  1 O 1.67
V (0.7159, 0.4990, 0.1199)  1 O 1.67
V (0.7856, 0.4992, 0.9286)  1 O 1.67
V (0.2124, 0.0063, 0.6782)  1 O 1.66
V (0.7144, 0.4992, 0.4286)  1 O 1.67
V (0.2841, 0.5010, 0.6199)  1 O 1.67
V (0.7153, 0.0010, 0.3703)  1 O 1.67
V (0.7124, 0.9937, 0.6782)  1 O 1.66
V (0.2847, 0.9990, 0.8703)  1 O 1.67
V (0.2144, 0.5008, 0.4286)  1 O 1.67
V (0.2153, 0.9990, 0.3703)  1 O 1.67
V (0.7841, 0.4990, 0.6199)  1 O 1.67

---

A relaxed VP4O12 crystal, computed with PBE with a Hubbard U.

## Properties
* spin magnetization: 0.995 μB per formula unit

Cell lengths 7.1770, 7.1770, 10.1887 Å; angles 66.62, 66.62, 70.86 degrees
Last column: nearest neighbours and their distance in Å.
Fractional coordinates of all 34 atoms:
O (0.3559, 0.1929, 0.8391)  1 P 1.45
O (0.1956, 0.7502, 0.3981)  1 P 1.50
O (0.1473, 0.9106, 0.5999)  1 P 1.49
O (0.2179, 0.5003, 0.0552)  2 P 1.60-1.62
O (0.2819, 0.5316, 0.6398)  2 P 1.59-1.62
O (0.7660, 0.8729, 0.8148)  1 P 1.55
O (0.2498, 0.8044, 0.1019)  1 P 1.50
O (0.8044, 0.2498, 0.6019)  1 P 1.50
O (0.7502, 0.1956, 0.8981)  1 P 1.50
O (0.0894, 0.8527, 0.9001)  1 P 1.49
O (0.2340, 0.1271, 0.1852)  1 P 1.55
O (0.6441, 0.8071, 0.1609)  1 P 1.45
O (0.5316, 0.2819, 0.1398)  2 P 1.59-1.62
O (0.4997, 0.7821, 0.4448)  2 P 1.60-1.62
O (0.4684, 0.7181, 0.8602)  2 P 1.59-1.62
O (0.7181, 0.4684, 0.3602)  2 P 1.59-1.62
O (0.1929, 0.3559, 0.3391)  1 P 1.45
O (0.8527, 0.0894, 0.4001)  1 P 1.49
O (0.8071, 0.6441, 0.6609)  1 P 1.45
O (0.9106, 0.1473, 0.0999)  1 P 1.49
O (0.8729, 0.7660, 0.3148)  1 P 1.55
O (0.1271, 0.2340, 0.6852)  1 P 1.55
O (0.5003, 0.2179, 0.5552)  2 P 1.60-1.62
O (0.7821, 0.4997, 0.9448)  2 P 1.60-1.62
P (0.7538, 0.2644, 0.0185)  4 O 1.49-1.60
P (0.6850, 0.7185, 0.3044)  4 O 1.45-1.62
P (0.2815, 0.3150, 0.1956)  4 O 1.45-1.62
P (0.7356, 0.2462, 0.4815)  4 O 1.49-1.60
P (0.2462, 0.7356, 0.9815)  4 O 1.49-1.60
P (0.2644, 0.7538, 0.5185)  4 O 1.49-1.60
P (0.7185, 0.6850, 0.8044)  4 O 1.45-1.62
P (0.3150, 0.2815, 0.6956)  4 O 1.45-1.62
V (0.0528, 0.9472, 0.2500)  6 O 1.88-1.99
V (0.9472, 0.0528, 0.7500)  6 O 1.88-1.99

---

A relaxed VP4O12 crystal, computed with PBE with a Hubbard U.

## Properties
* spin magnetization: 1.001 μB per formula unit

Cell lengths 6.9731, 6.9731, 9.4409 Å; angles 88.19, 88.19, 108.49 degrees
Last column: nearest neighbours and their distance in Å.
Fractional coordinates of all 34 atoms:
P (0.2203, 0.8657, 0.9667)  3 O 1.46-1.62
P (0.2907, 0.2258, 0.5286)  4 O 1.51-1.59
P (0.7797, 0.1343, 0.0333)  3 O 1.46-1.62
P (0.2258, 0.2907, 0.0286)  4 O 1.51-1.59
P (0.8657, 0.2203, 0.4667)  3 O 1.46-1.62
P (0.1343, 0.7797, 0.5333)  3 O 1.46-1.62
P (0.7742, 0.7093, 0.9714)  4 O 1.51-1.59
P (0.7093, 0.7742, 0.4714)  4 O 1.51-1.59
O (0.0055, 0.1996, 0.1015)  2 P 1.59-1.65
O (0.2237, 0.7831, 0.3910)  1 P 1.46
O (0.8901, 0.7236, 0.5441)  2 P 1.58-1.62
O (0.7711, 0.5574, 0.0900)  1 P 1.51
O (0.7236, 0.8901, 0.0441)  2 P 1.58-1.62
O (0.1996, 0.0055, 0.6015)  2 P 1.59-1.65
O (0.7831, 0.2237, 0.8910)  1 P 1.46
O (0.4426, 0.2289, 0.4100)  1 P 1.51
O (0.7763, 0.2169, 0.6090)  1 P 1.46
O (0.1618, 0.6352, 0.6519)  1 P 1.54
O (0.8004, 0.9945, 0.3985)  2 P 1.59-1.65
O (0.3678, 0.3674, 0.6479)  1 P 1.52
O (0.6352, 0.1618, 0.1519)  1 P 1.54
O (0.1099, 0.2764, 0.4559)  2 P 1.58-1.62
O (0.2289, 0.4426, 0.9100)  1 P 1.51
O (0.3674, 0.3678, 0.1479)  1 P 1.52
O (0.9945, 0.8004, 0.8985)  2 P 1.59-1.65
O (0.5574, 0.7711, 0.5900)  1 P 1.51
O (0.8382, 0.3648, 0.3481)  1 P 1.54
O (0.6326, 0.6322, 0.8521)  1 P 1.52
O (0.2764, 0.1099, 0.9559)  2 P 1.58-1.62
O (0.2169, 0.7763, 0.1090)  1 P 1.46
O (0.3648, 0.8382, 0.8481)  1 P 1.54
O (0.6322, 0.6326, 0.3521)  1 P 1.52
V (0.3888, 0.6112, 0.7500)  6 O 1.91-1.96
V (0.6112, 0.3888, 0.2500)  6 O 1.91-1.96

---

A relaxed V4P2O13 crystal, computed with PBE with a Hubbard U.

Cell lengths 4.9697, 5.0028, 8.7875 Å; angles 88.62, 100.01, 99.39 degrees
Last column: nearest neighbours and their distance in Å.
Fractional coordinates of all 19 atoms:
V (0.4310, 0.5384, 0.0602)  1 O 1.68
V (0.5852, 0.2537, 0.7035)  2 O 1.74-1.93
V (0.9256, 0.8232, 0.6426)  3 O 1.73-1.91
V (0.7495, 0.0440, 0.3141)  1 O 1.68
O (0.1184, 0.2807, 0.3589)  1 P 1.52
O (0.0109, 0.7341, 0.4355)  1 P 1.58
O (0.5946, 0.2824, 0.2122)  1 V 1.68
O (0.8043, 0.9812, 0.8301)  1 P 1.59
O (0.4521, 0.5580, 0.5681)  1 P 1.56
O (0.5296, 0.4353, 0.9006)  1 V 1.68
O (0.2238, 0.8353, 0.9907)  1 P 1.52
O (0.4125, 0.7198, 0.2913)  1 P 1.57
O (0.0814, 0.2879, 0.0437)  1 P 1.53
O (0.7147, 0.0753, 0.5326)  3 V 1.91-2.01
O (0.2669, 0.0432, 0.6883)  2 V 1.74-1.85
O (0.9291, 0.5052, 0.7232)  2 V 1.73-1.93
O (0.7969, 0.8525, 0.1140)  1 P 1.58
P (0.9870, 0.9897, 0.9981)  4 O 1.52-1.59
P (0.2463, 0.5678, 0.4133)  4 O 1.52-1.58

---

A relaxed VP6W3O24 crystal, computed with PBE with a Hubbard U.

## Properties
* spin magnetization: 5.000 μB per formula unit

Cell lengths 8.9248, 8.9248, 8.9248 Å; angles 58.98, 58.98, 58.98 degrees
Last column: nearest neighbours and their distance in Å.
Fractional coordinates of all 34 atoms:
P (0.5400, 0.2464, 0.9632)  4 O 1.50-1.56
P (0.9632, 0.5400, 0.2464)  4 O 1.50-1.56
P (0.4679, 0.7508, 0.0350)  4 O 1.50-1.56
P (0.0350, 0.4679, 0.7508)  4 O 1.50-1.56
P (0.7508, 0.0350, 0.4679)  4 O 1.50-1.56
P (0.2464, 0.9632, 0.5400)  4 O 1.50-1.56
O (0.4901, 0.7198, 0.8670)  1 P 1.56
O (0.4325, 0.5811, 0.2125)  1 P 1.55
O (0.9411, 0.7122, 0.0802)  1 P 1.50
O (0.9201, 0.0632, 0.2861)  1 P 1.56
O (0.2220, 0.9923, 0.3652)  1 P 1.56
O (0.7198, 0.8670, 0.4901)  1 P 1.56
O (0.2861, 0.9201, 0.0632)  1 P 1.56
O (0.4232, 0.7888, 0.5588)  1 P 1.55
O (0.5588, 0.4232, 0.7888)  1 P 1.55
O (0.1314, 0.5041, 0.2857)  1 P 1.55
O (0.6344, 0.7759, 0.0088)  1 P 1.50
O (0.2857, 0.1314, 0.5041)  1 P 1.55
O (0.5811, 0.2125, 0.4325)  1 P 1.55
O (0.7888, 0.5588, 0.4232)  1 P 1.55
O (0.0802, 0.9411, 0.7122)  1 P 1.50
O (0.5041, 0.2857, 0.1314)  1 P 1.55
O (0.0632, 0.2861, 0.9201)  1 P 1.56
O (0.2125, 0.4325, 0.5811)  1 P 1.55
O (0.3652, 0.2220, 0.9923)  1 P 1.56
O (0.7759, 0.0088, 0.6344)  1 P 1.50
O (0.0088, 0.6344, 0.7759)  1 P 1.50
O (0.8670, 0.4901, 0.7198)  1 P 1.56
O (0.9923, 0.3652, 0.2220)  1 P 1.56
O (0.7122, 0.0802, 0.9411)  1 P 1.50
V (0.8584, 0.8584, 0.8584)  6 O 2.00-2.02
W (0.6423, 0.6423, 0.6423)  6 O 1.99-2.00
W (0.3572, 0.3572, 0.3572)  6 O 1.98
W (0.1424, 0.1424, 0.1424)  6 O 1.99-2.00

---

Values of corrected total energy (MP2020 scheme), in order: -8.194 -8.230 -7.828 -7.814 -8.406 -8.383, all in eV/atom.
Values of formation energy, in order: -53.9 -33.5 -43.0 -42.7 -48.2 -85.8, all in eV per formula unit.